Entry from the Materials Project database: crystalline Ba2CeHfO6 at its relaxed geometry (GGA-PBE).

Summary:
Its volume is 649 Å³/cell. As for the energy: -8.1970 eV per atom.

CIF file:
```
data_Ba2CeHfO6
_cell_length_a 8.660
_cell_length_b 8.660
_cell_length_c 8.660
_cell_angle_alpha 90.00
_cell_angle_beta 90.00
_cell_angle_gamma 90.00
_symmetry_space_group_name_H-M 'P 1'
_symmetry_Int_Tables_number 1
loop_
_symmetry_equiv_pos_as_xyz
'x,y,z'
loop_
_atom_site_label
_atom_site_type_symbol
_atom_site_fract_x
_atom_site_fract_y
_atom_site_fract_z
Ba1 Ba 0.500 0.500 0.500
Ba2 Ba 0.000 0.000 0.000
Ba3 Ba 0.000 0.000 0.500
Ba4 Ba 0.000 0.500 0.000
Ba5 Ba 0.500 0.000 0.000
Ba6 Ba 0.500 0.500 0.000
Ba7 Ba 0.500 0.000 0.500
Ba8 Ba 0.000 0.500 0.500
Ce1 Ce 0.750 0.750 0.750
Ce2 Ce 0.750 0.250 0.250
Ce3 Ce 0.250 0.750 0.250
Ce4 Ce 0.250 0.250 0.750
Hf1 Hf 0.250 0.250 0.250
Hf2 Hf 0.250 0.750 0.750
Hf3 Hf 0.750 0.250 0.750
Hf4 Hf 0.750 0.750 0.250
O1 O 0.231 0.271 0.491
O2 O 0.231 0.729 0.509
O3 O 0.769 0.271 0.509
O4 O 0.769 0.729 0.491
O5 O 0.271 0.491 0.231
O6 O 0.729 0.509 0.231
O7 O 0.271 0.509 0.769
O8 O 0.729 0.491 0.769
O9 O 0.491 0.231 0.271
O10 O 0.509 0.231 0.729
O11 O 0.509 0.769 0.271
O12 O 0.491 0.769 0.729
O13 O 0.269 0.229 0.009
O14 O 0.269 0.771 0.991
O15 O 0.731 0.229 0.991
O16 O 0.731 0.771 0.009
O17 O 0.229 0.009 0.269
O18 O 0.771 0.991 0.269
O19 O 0.229 0.991 0.731
O20 O 0.771 0.009 0.731
O21 O 0.009 0.269 0.229
O22 O 0.991 0.269 0.771
O23 O 0.991 0.731 0.229
O24 O 0.009 0.731 0.771
```